## Gd3InO6 (r²SCAN)

Data for crystalline Gd3InO6 at its relaxed geometry.

Cell: 6.7124 6.7124 6.7124 Å, 92.20 92.20 92.20°
Closest atoms and distances in Å follow each position.
Element x y z (fractional)
O 0.9311 0.6915 0.0878  1 In 2.21, 3 Gd 2.25-2.38
Gd 0.0676 0.2535 0.5603  6 O 2.25-2.38
Gd 0.4397 0.9324 0.7465  6 O 2.25-2.38
O 0.5952 0.8095 0.4648  1 In 2.17, 3 Gd 2.29-2.33
O 0.8095 0.4648 0.5952  1 In 2.17, 3 Gd 2.29-2.33
Gd 0.7465 0.4397 0.9324  6 O 2.25-2.38
O 0.4648 0.5952 0.8095  1 In 2.17, 3 Gd 2.29-2.33
Gd 0.5603 0.0676 0.2535  6 O 2.25-2.38
O 0.0878 0.9311 0.6915  1 In 2.21, 3 Gd 2.25-2.38
In 0.5000 0.5000 0.5000  6 O 2.17
O 0.4048 0.1905 0.5352  1 In 2.17, 3 Gd 2.29-2.33
O 0.6915 0.0878 0.9311  1 In 2.21, 3 Gd 2.25-2.38
O 0.3085 0.9122 0.0689  1 In 2.21, 3 Gd 2.25-2.38
In 0.0000 0.0000 0.0000  6 O 2.21
O 0.9122 0.0689 0.3085  1 In 2.21, 3 Gd 2.25-2.38
O 0.1905 0.5352 0.4048  1 In 2.17, 3 Gd 2.29-2.33
Gd 0.9324 0.7465 0.4397  6 O 2.25-2.38
O 0.0689 0.3085 0.9122  1 In 2.21, 3 Gd 2.25-2.38
O 0.5352 0.4048 0.1905  1 In 2.17, 3 Gd 2.29-2.33
Gd 0.2535 0.5603 0.0676  6 O 2.25-2.38

Properties
ΔH_f (0 K) = -3.269 eV/atom
electronic total energy = -442.60 eV per cell
space group = No. 148